The following is a r²SCAN calculation of a relaxed structure of ZrO2, from the Materials Project.

## Properties
Its energy of formation from the pure elements is -3.731 eV per atom. The space group is No. 141.

```
ZrO2
1.0
0.000 4.015 0.000
2.007 -2.007 5.346
4.015 0.000 0.000
O Zr
4 2
direct
0.798 0.597 0.201
0.549 0.097 0.952
0.952 0.903 0.549
0.201 0.403 0.798
0.000 0.000 0.000
0.750 0.500 0.750
```